Entry 1:
Yb2Ga10Ru3 | r2SCAN | relaxed

Calculated values
* E_form: -0.585 eV/atom
* crystal system: tetragonal
* total moment: 0.0 Bohr magnetons per cell

Lattice parameters (Å, degrees): 8.786 8.786 6.315 90.00 90.00 90.00
Space group P4/mbm (No. 127)
Symmetry-distinct sites (fractional):
Yb: 0.183 0.317 0.000 (multiplicity 4)
Ga: 0.000 0.500 0.284 (multiplicity 4)
Ga: 0.061 0.793 0.293 (multiplicity 16)
Ru: 0.000 0.000 0.000 (multiplicity 2)
Ru: 0.178 0.322 0.500 (multiplicity 4)

=====

Entry 2:
NdSm3Sb3 | r2SCAN | relaxed

Calculated values
* E_form: -1.231 eV/atom
* crystal system: cubic
* total moment: 0.0 Bohr magnetons per cell

Lattice parameters (Å, degrees): 9.413 9.413 9.413 90.00 90.00 90.00
Space group P2_13 (No. 198)
Symmetry-distinct sites (fractional):
Nd: 0.071 0.429 0.571 (multiplicity 4)
Sm: 0.072 0.572 0.928 (multiplicity 4)
Sm: 0.180 0.180 0.180 (multiplicity 4)
Sm: 0.180 0.820 0.320 (multiplicity 4)
Sb: 0.000 0.252 0.876 (multiplicity 12)

=====

Entry 3:
Co3B2O6 | r2SCAN | relaxed

Calculated values
* E_form: -1.792 eV/atom
* crystal system: orthorhombic
* total moment: 18.0 Bohr magnetons per cell

Lattice parameters (Å, degrees): 4.512 5.468 8.388 90.00 90.00 90.00
Space group Pnnm (No. 58)
Symmetry-distinct sites (fractional):
Co: 0.000 0.000 0.000 (multiplicity 2)
Co: 0.000 0.500 0.183 (multiplicity 4)
B: 0.040 0.247 0.500 (multiplicity 4)
O: 0.195 0.294 0.360 (multiplicity 8)
O: 0.246 0.320 0.000 (multiplicity 4)

=====

Entry 4:
MgAg2 | r2SCAN | relaxed

Calculated values
* E_form: -0.144 eV/atom
* energy above the most stable polymorph in this dataset: 0.0020 eV/atom
* crystal system: monoclinic
* total moment: 0.0 Bohr magnetons per cell

Lattice parameters (Å, degrees): 9.841 3.295 6.999 90.00 110.87 90.00
Space group C2/m (No. 12)
Symmetry-distinct sites (fractional):
Mg: 0.000 0.000 0.250 (multiplicity 4)
Ag: 0.165 0.500 0.083 (multiplicity 4)
Ag: 0.166 0.500 0.583 (multiplicity 4)

=====

Entry 5:
LaUS2 | r2SCAN | relaxed

Calculated values
* E_form: -2.053 eV/atom
* crystal system: trigonal
* total moment: 8.2 Bohr magnetons per cell

Lattice parameters (Å, degrees): 3.9912 3.9912 20.5709 90.00 90.00 120.00
Space group R-3m (No. 166, hexagonal axes)
Symmetry-distinct sites (fractional):
La: 0.0000 0.0000 0.0000 (multiplicity 3)
U: 0.0000 0.0000 0.5000 (multiplicity 3)
S: 0.0000 0.0000 0.2456 (multiplicity 6)

=====

Entry 6:
Zr3TaFe8 | r2SCAN | relaxed

Calculated values
* E_form: -0.154 eV/atom
* crystal system: trigonal
* total moment: 43.8 Bohr magnetons per cell

Lattice parameters (Å, degrees): 4.9730 4.9730 24.3700 90.00 90.00 120.00
Space group R3m (No. 160, hexagonal axes)
Symmetry-distinct sites (fractional):
Zr: 0.0000 0.0000 0.0000 (multiplicity 3)
Zr: 0.0000 0.0000 0.1258 (multiplicity 3)
Zr: 0.0000 0.0000 0.5019 (multiplicity 3)
Ta: 0.0000 0.0000 0.6260 (multiplicity 3)
Fe: 0.0000 0.0000 0.3132 (multiplicity 3)
Fe: 0.0000 0.0000 0.8134 (multiplicity 3)
Fe: 0.0003 0.5001 0.5645 (multiplicity 9)
Fe: 0.1672 0.3344 0.3956 (multiplicity 9)

=====

Entry 7:
CdSeO3 | r2SCAN | relaxed

Calculated values
* E_form: -1.124 eV/atom
* crystal system: orthorhombic
* total moment: 0.0 Bohr magnetons per cell

Lattice parameters (Å, degrees): 6.318 8.125 5.328 90.00 90.00 90.00
Space group Pnma (No. 62)
Symmetry-distinct sites (fractional):
Cd: 0.000 0.000 0.000 (multiplicity 4)
Se: 0.028 0.250 0.483 (multiplicity 4)
O: 0.091 0.250 0.796 (multiplicity 4)
O: 0.174 0.087 0.368 (multiplicity 8)

=====

Entry 8:
K2EuF5 | r2SCAN | relaxed

Calculated values
* E_form: -3.461 eV/atom
* crystal system: orthorhombic
* total moment: 24.0 Bohr magnetons per cell

Lattice parameters (Å, degrees): 10.751 7.431 6.542 90.00 90.00 90.00
Space group Pnma (No. 62)
Symmetry-distinct sites (fractional):
K: 0.170 0.004 0.035 (multiplicity 8)
Eu: 0.002 0.250 0.561 (multiplicity 4)
F: 0.010 0.250 0.904 (multiplicity 4)
F: 0.082 0.531 0.649 (multiplicity 8)
F: 0.172 0.250 0.363 (multiplicity 4)
F: 0.198 0.750 0.334 (multiplicity 4)

=====

Entry 9:
Sr2YbReO6 | r2SCAN | relaxed

Calculated values
* E_form: -2.916 eV/atom
* crystal system: cubic
* total moment: 8.0 Bohr magnetons per cell

Lattice parameters (Å, degrees): 8.199 8.199 8.199 90.00 90.00 90.00
Space group Fm-3m (No. 225)
Symmetry-distinct sites (fractional):
Sr: 0.250 0.250 0.250 (multiplicity 8)
Yb: 0.000 0.000 0.000 (multiplicity 4)
Re: 0.000 0.000 0.500 (multiplicity 4)
O: 0.000 0.000 0.261 (multiplicity 24)

=====

Entry 10:
Ca3Ga4O9 | r2SCAN | relaxed

Calculated values
* E_form: -2.568 eV/atom
* crystal system: orthorhombic
* total moment: 0.0 Bohr magnetons per cell

Lattice parameters (Å, degrees): 14.375 16.809 5.325 90.00 90.00 90.00
Space group Cmm2 (No. 35)
Symmetry-distinct sites (fractional):
Ca: 0.000 0.000 0.000 (multiplicity 2)
Ca: 0.000 0.402 0.906 (multiplicity 4)
Ca: 0.130 0.210 0.963 (multiplicity 8)
Ca: 0.240 0.000 0.948 (multiplicity 4)
Ga: 0.000 0.262 0.469 (multiplicity 4)
Ga: 0.109 0.094 0.485 (multiplicity 8)
Ga: 0.112 0.500 0.389 (multiplicity 4)
Ga: 0.200 0.335 0.436 (multiplicity 8)
O: 0.000 0.154 0.597 (multiplicity 4)
O: 0.000 0.272 0.132 (multiplicity 4)
O: 0.000 0.500 0.221 (multiplicity 2)
O: 0.101 0.305 0.637 (multiplicity 8)
O: 0.102 0.000 0.657 (multiplicity 4)
O: 0.109 0.500 0.729 (multiplicity 4)
O: 0.113 0.090 0.150 (multiplicity 8)
O: 0.169 0.415 0.222 (multiplicity 8)
O: 0.207 0.139 0.660 (multiplicity 8)
O: 0.250 0.250 0.240 (multiplicity 4)

=====

Entry 11:
LiGdHg2 | r2SCAN | relaxed

Calculated values
* E_form: -0.472 eV/atom
* crystal system: cubic
* total moment: 29.4 Bohr magnetons per cell

Lattice parameters (Å, degrees): 7.119 7.119 7.119 90.00 90.00 90.00
Space group Fm-3m (No. 225)
Symmetry-distinct sites (fractional):
Li: 0.000 0.000 0.000 (multiplicity 4)
Gd: 0.000 0.000 0.500 (multiplicity 4)
Hg: 0.250 0.250 0.250 (multiplicity 8)

=====

Entry 12:
Sc5Si10Ir4 | r2SCAN | relaxed

Calculated values
* E_form: -0.898 eV/atom
* crystal system: tetragonal
* total moment: 0.0 Bohr magnetons per cell

Lattice parameters (Å, degrees): 12.352 12.352 4.093 90.00 90.00 90.00
Space group P4/mbm (No. 127)
Symmetry-distinct sites (fractional):
Sc: 0.000 0.000 0.000 (multiplicity 2)
Sc: 0.116 0.384 0.500 (multiplicity 4)
Sc: 0.173 0.673 0.500 (multiplicity 4)
Si: 0.006 0.848 0.500 (multiplicity 8)
Si: 0.066 0.566 0.000 (multiplicity 4)
Si: 0.166 0.200 0.000 (multiplicity 8)
Ir: 0.019 0.754 0.000 (multiplicity 8)